Compound: TmMgAg
Source: the Materials Project
Functional: meta-GGA r2SCAN
Structure: relaxed

Cell lengths 7.6007, 7.6007, 4.0454 Å; angles 90.00, 90.00, 120.00 degrees
Sites, in units of the cell vectors:
Tm 0.5866 0.0000 0.0000
Tm 0.4134 0.4134 0.0000
Tm 0.0000 0.5866 0.0000
Ag 0.6667 0.3333 0.5000
Ag 0.0000 0.0000 0.0000
Ag 0.3333 0.6667 0.5000
Mg 0.2473 0.0000 0.5000
Mg 0.7527 0.7527 0.5000
Mg 0.0000 0.2473 0.5000

Calculated values
Space group: P-62m (189)
E_tot in eV per atom: -20.49

Compound: AgB6Cl6
Source: the Materials Project
Functional: meta-GGA r2SCAN
Structure: relaxed

Cell lengths 12.4301, 12.4301, 12.4301 Å; angles 90.00, 90.00, 90.00 degrees
Sites, in units of the cell vectors:
Ag 0.3666 0.1334 0.8666
Ag 0.8666 0.1334 0.6334
Ag 0.1334 0.6334 0.8666
Ag 0.8666 0.3666 0.1334
Ag 0.6334 0.8666 0.1334
Ag 0.1334 0.8666 0.3666
Ag 0.3666 0.3666 0.3666
Ag 0.6334 0.6334 0.6334
Cl 0.3674 0.1963 0.6476
Cl 0.1326 0.8037 0.1476
Cl 0.0539 0.4432 0.7705
Cl 0.9432 0.7705 0.4461
Cl 0.6963 0.8524 0.6326
Cl 0.9461 0.9432 0.7295
Cl 0.3037 0.3524 0.8674
Cl 0.3674 0.3037 0.1476
Cl 0.6963 0.6476 0.1326
Cl 0.7295 0.9461 0.9432
Cl 0.2295 0.9461 0.5568
Cl 0.7705 0.4461 0.9432
Cl 0.1476 0.1326 0.8037
Cl 0.3524 0.6326 0.8037
Cl 0.8037 0.3524 0.6326
Cl 0.2295 0.5539 0.0568
Cl 0.3524 0.8674 0.3037
Cl 0.4432 0.7705 0.0539
Cl 0.8674 0.1963 0.8524
Cl 0.1326 0.6963 0.6476
Cl 0.1963 0.8524 0.8674
Cl 0.8037 0.1476 0.1326
Cl 0.0568 0.2705 0.0539
Cl 0.4461 0.5568 0.2705
Cl 0.5539 0.0568 0.2295
Cl 0.5568 0.2705 0.4461
Cl 0.6326 0.6963 0.8524
Cl 0.4461 0.9432 0.7705
Cl 0.0539 0.0568 0.2705
Cl 0.6476 0.3674 0.1963
Cl 0.8524 0.8674 0.1963
Cl 0.7705 0.0539 0.4432
Cl 0.5539 0.4432 0.7295
Cl 0.5568 0.2295 0.9461
Cl 0.0568 0.2295 0.5539
Cl 0.2705 0.4461 0.5568
Cl 0.7295 0.5539 0.4432
Cl 0.8524 0.6326 0.6963
Cl 0.4432 0.7295 0.5539
Cl 0.6476 0.1326 0.6963
Cl 0.1963 0.6476 0.3674
Cl 0.8674 0.3037 0.3524
Cl 0.9461 0.5568 0.2295
Cl 0.6326 0.8037 0.3524
Cl 0.3037 0.1476 0.3674
Cl 0.9432 0.7295 0.9461
Cl 0.2705 0.0539 0.0568
Cl 0.1476 0.3674 0.3037
B 0.4279 0.5662 0.9060
B 0.5277 0.0306 0.3691
B 0.0721 0.0662 0.9060
B 0.9694 0.8691 0.9723
B 0.0306 0.3691 0.5277
B 0.4694 0.8691 0.5277
B 0.0277 0.4694 0.6309
B 0.6309 0.4723 0.9694
B 0.0277 0.0306 0.1309
B 0.5662 0.9060 0.4279
B 0.6309 0.0277 0.4694
B 0.4694 0.6309 0.0277
B 0.5721 0.4338 0.0940
B 0.4338 0.0940 0.5721
B 0.4060 0.0721 0.4338
B 0.5662 0.5940 0.9279
B 0.9694 0.6309 0.4723
B 0.5940 0.5721 0.0662
B 0.4060 0.4279 0.9338
B 0.5306 0.1309 0.4723
B 0.8691 0.5277 0.4694
B 0.8691 0.9723 0.9694
B 0.1309 0.0277 0.0306
B 0.5306 0.3691 0.9723
B 0.4338 0.4060 0.0721
B 0.9060 0.0721 0.0662
B 0.0306 0.1309 0.0277
B 0.4723 0.5306 0.1309
B 0.5940 0.9279 0.5662
B 0.1309 0.4723 0.5306
B 0.9279 0.9338 0.0940
B 0.0662 0.9060 0.0721
B 0.0721 0.4338 0.4060
B 0.4723 0.9694 0.6309
B 0.0940 0.5721 0.4338
B 0.9338 0.4060 0.4279
B 0.5277 0.4694 0.8691
B 0.9723 0.5306 0.3691
B 0.3691 0.5277 0.0306
B 0.5721 0.0662 0.5940
B 0.4279 0.9338 0.4060
B 0.0940 0.9279 0.9338
B 0.9279 0.5662 0.5940
B 0.9338 0.0940 0.9279
B 0.9723 0.9694 0.8691
B 0.0662 0.5940 0.5721
B 0.3691 0.9723 0.5306
B 0.9060 0.4279 0.5662

Calculated values
Space group: Pa-3 (205)
E_tot in eV per atom: -8.61

Compound: Sm3In
Source: the Materials Project
Functional: meta-GGA r2SCAN
Structure: relaxed

Cell lengths 7.0275, 7.0275, 5.6034 Å; angles 90.00, 90.00, 120.00 degrees
Sites, in units of the cell vectors:
Sm 0.3493 0.1747 0.7500
Sm 0.6507 0.8253 0.2500
Sm 0.1747 0.8253 0.2500
Sm 0.1747 0.3493 0.2500
Sm 0.8253 0.1747 0.7500
Sm 0.8253 0.6507 0.7500
In 0.6667 0.3333 0.2500
In 0.3333 0.6667 0.7500

Calculated values
Space group: P6_3/mmc (194)
E_tot in eV per atom: -28.30
Relative energy among the computed polymorphs in meV per atom: 11

Compound: Li2PrTl
Source: the Materials Project
Functional: meta-GGA r2SCAN
Structure: relaxed

Cell lengths 4.9481, 4.9481, 4.9481 Å; angles 60.00, 60.00, 60.00 degrees
Sites, in units of the cell vectors:
Pr 0.2500 0.2500 0.2500
Tl 0.7500 0.7500 0.7500
Li 0.0000 0.0000 0.0000
Li 0.5000 0.5000 0.5000

Calculated values
Space group: Fm-3m (225)
E_tot in eV per atom: -22.18

Compound: La2Sn5Rh3
Source: the Materials Project
Functional: meta-GGA r2SCAN
Structure: relaxed

Cell lengths 9.0560, 9.0619, 9.0594 Å; angles 138.30, 105.64, 89.06 degrees
Sites, in units of the cell vectors:
Sn 0.5757 0.9112 0.6646
Sn 0.7532 0.5885 0.1644
Sn 0.2758 0.5254 0.2499
Sn 0.2467 0.4116 0.8357
Sn 0.7243 0.4747 0.7501
Sn 0.0003 0.7498 0.7502
Sn 0.7245 0.9744 0.2503
Sn 0.9998 0.2502 0.2499
Sn 0.2755 0.0256 0.7497
Sn 0.4243 0.0888 0.3354
Rh 0.2478 0.1399 0.1073
Rh 0.9674 0.3599 0.6078
Rh 0.7522 0.8601 0.8927
Rh 0.4999 0.7501 0.2501
Rh 0.0326 0.6401 0.3922
Rh 0.5001 0.2499 0.7499
La 0.6287 0.3575 0.2710
La 0.9133 0.1416 0.7704
La 0.3712 0.6423 0.7289
La 0.0867 0.8583 0.2295

Calculated values
Space group: C2/c (15)
E_tot in eV per atom: -26.35

Compound: As3Rh
Source: the Materials Project
Functional: meta-GGA r2SCAN
Structure: relaxed

Cell lengths 7.3618, 7.3618, 7.3618 Å; angles 109.47, 109.47, 109.47 degrees
Sites, in units of the cell vectors:
As 0.3482 0.2024 0.8542
As 0.6518 0.5059 0.8542
As 0.8542 0.6518 0.5059
As 0.5059 0.8542 0.6518
As 0.6518 0.7976 0.1458
As 0.3482 0.4941 0.1458
As 0.1458 0.3482 0.4941
As 0.7976 0.1458 0.6518
As 0.1458 0.6518 0.7976
As 0.4941 0.1458 0.3482
As 0.8542 0.3482 0.2024
As 0.2024 0.8542 0.3482
Rh 0.5000 0.5000 0.5000
Rh 0.0000 0.5000 0.0000
Rh 0.0000 0.0000 0.5000
Rh 0.5000 0.0000 0.0000

Calculated values
Space group: Im-3 (204)
E_tot in eV per atom: -17.56

Compound: TaCoGe
Source: the Materials Project
Functional: meta-GGA r2SCAN
Structure: relaxed

Cell lengths 3.7189, 6.2844, 7.0809 Å; angles 90.00, 90.00, 90.00 degrees
Sites, in units of the cell vectors:
Co 0.7500 0.3606 0.0636
Co 0.2500 0.1394 0.5636
Co 0.2500 0.6394 0.9364
Co 0.7500 0.8606 0.4364
Ge 0.7500 0.2303 0.3819
Ge 0.7500 0.7303 0.1181
Ge 0.2500 0.7697 0.6181
Ge 0.2500 0.2697 0.8819
Ta 0.7500 0.9796 0.8168
Ta 0.2500 0.5204 0.3168
Ta 0.2500 0.0204 0.1832
Ta 0.7500 0.4796 0.6832

Calculated values
Space group: Pnma (62)
E_tot in eV per atom: -25.60

Compound: Ho2Ti2O7
Source: the Materials Project
Functional: meta-GGA r2SCAN
Structure: relaxed

Cell lengths 7.1176, 7.1176, 7.1176 Å; angles 60.00, 60.00, 60.00 degrees
Sites, in units of the cell vectors:
O 0.5441 0.5441 0.9559
O 0.9559 0.5441 0.5441
O 0.7059 0.2941 0.2941
O 0.0000 0.0000 0.0000
O 0.2941 0.7059 0.7059
O 0.2500 0.2500 0.2500
O 0.7059 0.2941 0.7059
O 0.2941 0.2941 0.7059
O 0.9559 0.5441 0.9559
O 0.7059 0.7059 0.2941
O 0.9559 0.9559 0.5441
O 0.5441 0.9559 0.9559
O 0.5441 0.9559 0.5441
O 0.2941 0.7059 0.2941
Ti 0.6250 0.6250 0.1250
Ti 0.1250 0.6250 0.6250
Ti 0.6250 0.1250 0.6250
Ti 0.6250 0.6250 0.6250
Ho 0.6250 0.1250 0.1250
Ho 0.1250 0.1250 0.6250
Ho 0.1250 0.1250 0.1250
Ho 0.1250 0.6250 0.1250

Calculated values
Space group: Fd-3m (227)
E_tot in eV per atom: -15.80

Compound: Sr2LiTl
Source: the Materials Project
Functional: meta-GGA r2SCAN
Structure: relaxed

Cell lengths 5.7919, 5.7919, 5.7919 Å; angles 60.00, 60.00, 60.00 degrees
Sites, in units of the cell vectors:
Tl 0.7500 0.7500 0.7500
Li 0.2500 0.2500 0.2500
Sr 0.5000 0.5000 0.5000
Sr 0.0000 0.0000 0.0000

Calculated values
Space group: Fm-3m (225)
E_tot in eV per atom: -21.75

Compound: CsP2Rh2
Source: the Materials Project
Functional: meta-GGA r2SCAN
Structure: relaxed

Cell lengths 7.7820, 7.7820, 7.7820 Å; angles 150.81, 150.81, 41.76 degrees
Sites, in units of the cell vectors:
Rh 0.2500 0.7500 0.5000
Rh 0.7500 0.2500 0.5000
P 0.3361 0.3361 0.0000
P 0.6639 0.6639 0.0000
Cs 0.0000 0.0000 0.0000

Calculated values
Space group: I4/mmm (139)
E_tot in eV per atom: -19.13

Compound: Cs
Source: the Materials Project
Functional: meta-GGA r2SCAN
Structure: relaxed

Cell lengths 5.6492, 5.6492, 5.6492 Å; angles 121.74, 121.74, 87.02 degrees
Sites, in units of the cell vectors:
Cs 0.0000 0.0000 0.0000

Calculated values
Space group: I4/mmm (139)
E_tot in eV per atom: -25.09
Relative energy among the computed polymorphs in meV per atom: 20

Compound: RbNi2F6
Source: the Materials Project
Functional: meta-GGA r2SCAN
Structure: relaxed

Cell lengths 7.0830, 7.0830, 7.0830 Å; angles 60.00, 60.00, 60.00 degrees
Sites, in units of the cell vectors:
Rb 0.2500 0.2500 0.2500
Rb 0.0000 0.0000 0.0000
F 0.6967 0.3033 0.6967
F 0.5533 0.9467 0.9467
F 0.5533 0.5533 0.9467
F 0.6967 0.6967 0.3033
F 0.9467 0.9467 0.5533
F 0.9467 0.5533 0.9467
F 0.5533 0.9467 0.5533
F 0.3033 0.6967 0.3033
F 0.9467 0.5533 0.5533
F 0.3033 0.6967 0.6967
F 0.6967 0.3033 0.3033
F 0.3033 0.3033 0.6967
Ni 0.6250 0.6250 0.1250
Ni 0.1250 0.6250 0.6250
Ni 0.6250 0.1250 0.6250
Ni 0.6250 0.6250 0.6250

Calculated values
Space group: Fd-3m (227)
E_tot in eV per atom: -8.65

Compound: ErPaOs2
Source: the Materials Project
Functional: meta-GGA r2SCAN
Structure: relaxed

Cell lengths 4.8276, 4.8276, 4.8276 Å; angles 60.00, 60.00, 60.00 degrees
Sites, in units of the cell vectors:
Os 0.2500 0.2500 0.2500
Os 0.7500 0.7500 0.7500
Er 0.5000 0.5000 0.5000
Pa 0.0000 0.0000 0.0000

Calculated values
Space group: Fm-3m (225)
E_tot in eV per atom: -54.53

Compound: Zn13Fe
Source: the Materials Project
Functional: meta-GGA r2SCAN
Structure: relaxed

Cell lengths 5.0750, 6.4855, 6.4855 Å; angles 70.38, 80.93, 80.93 degrees
Sites, in units of the cell vectors:
Zn 0.3157 0.2180 0.6293
Zn 0.6843 0.3707 0.7820
Zn 0.0000 0.0000 0.0000
Zn 0.6843 0.7820 0.3707
Zn 0.1982 0.3570 0.9938
Zn 0.8018 0.6430 0.0062
Zn 0.9389 0.3850 0.3850
Zn 0.0611 0.6150 0.6150
Zn 0.3157 0.6293 0.2180
Zn 0.3757 0.7767 0.7767
Zn 0.6243 0.2233 0.2233
Zn 0.1982 0.9938 0.3571
Zn 0.8018 0.0062 0.6429
Fe 0.5000 0.0000 0.0000

Calculated values
Space group: C2/m (12)
E_tot in eV per atom: -9.31

Compound: SiO2
Source: the Materials Project
Functional: meta-GGA r2SCAN
Structure: relaxed

Cell lengths 5.2383, 7.4406, 8.1229 Å; angles 90.00, 90.00, 90.00 degrees
Sites, in units of the cell vectors:
O 0.7500 0.6781 0.7256
O 0.0000 0.2627 0.0000
O 0.5000 0.2627 0.0000
O 0.2500 0.0000 0.1483
O 0.5000 0.7373 0.0000
O 0.5000 0.5000 0.5000
O 0.7500 0.0000 0.8517
O 0.0000 0.5000 0.5000
O 0.2500 0.6781 0.2744
O 0.0000 0.7373 0.0000
O 0.2500 0.3219 0.2744
O 0.7500 0.3219 0.7256
Si 0.7500 0.2114 0.8947
Si 0.7500 0.7886 0.8947
Si 0.2500 0.2114 0.1053
Si 0.7500 0.5000 0.6131
Si 0.2500 0.5000 0.3869
Si 0.2500 0.7886 0.1053

Calculated values
Space group: Pmma (51)
E_tot in eV per atom: -9.93

Compound: Cd3P2
Source: the Materials Project
Functional: meta-GGA r2SCAN
Structure: relaxed

Cell lengths 8.8026, 8.8026, 12.3496 Å; angles 90.00, 90.00, 90.00 degrees
Sites, in units of the cell vectors:
Cd 0.5069 0.2500 0.4002
Cd 0.2500 0.4611 0.6323
Cd 0.7500 0.5389 0.3677
Cd 0.7500 0.4931 0.0998
Cd 0.7500 0.9611 0.3677
Cd 0.4611 0.2500 0.1323
Cd 0.4931 0.7500 0.5998
Cd 0.5389 0.7500 0.8677
Cd 0.2500 0.9931 0.9002
Cd 0.0069 0.7500 0.5998
Cd 0.9647 0.2500 0.8505
Cd 0.7500 0.0353 0.6495
Cd 0.2500 0.5353 0.3505
Cd 0.4647 0.7500 0.1495
Cd 0.7500 0.0069 0.0998
Cd 0.2500 0.5069 0.9002
Cd 0.2500 0.9647 0.3505
Cd 0.5353 0.2500 0.8505
Cd 0.0353 0.7500 0.1495
Cd 0.7500 0.4647 0.6495
Cd 0.0389 0.2500 0.1323
Cd 0.2500 0.0389 0.6323
Cd 0.9931 0.2500 0.4002
Cd 0.9611 0.7500 0.8677
P 0.0075 0.9925 0.7500
P 0.2500 0.2500 0.4909
P 0.4925 0.5075 0.7500
P 0.7500 0.2500 0.9922
P 0.9925 0.0075 0.2500
P 0.7500 0.7500 0.0091
P 0.2500 0.7500 0.0078
P 0.9925 0.4925 0.2500
P 0.7500 0.2500 0.5078
P 0.7500 0.7500 0.5091
P 0.5075 0.0075 0.2500
P 0.0075 0.5075 0.7500
P 0.2500 0.7500 0.4922
P 0.2500 0.2500 0.9909
P 0.5075 0.4925 0.2500
P 0.4925 0.9925 0.7500

Calculated values
Space group: P4_2/nmc (137)
E_tot in eV per atom: -15.79

ΔE_f? In order: -0.270 -0.737 -0.360 -0.341 -0.792 -0.499 -0.370 -3.670 -0.282 -0.853 0.020 -2.358 -0.339 -0.001 -3.020 -0.123 eV/atom.